[1]
{
  "formula": "Sc2Fe3Si",
  "functional": "PBE-GGA",
  "state": "relaxed",
  "lattice": [[-2.4348, -4.2748, 0.0000], [-4.9206, 0.0294, 0.0000], [0.0000, 0.0000, -8.0781]],
  "species": ["Sc", "Sc", "Sc", "Sc", "Fe", "Fe", "Fe", "Fe", "Fe", "Fe", "Si", "Si"],
  "frac_coords": [[0.3306, 0.3306, 0.5574], [0.6683, 0.6683, 0.4345], [0.6683, 0.6683, 0.0655], [0.3306, 0.3306, 0.9426], [0.8319, 0.8318, 0.7500], [0.1705, 0.6643, 0.2500], [0.6643, 0.1705, 0.2500], [0.1707, 0.1707, 0.2500], [0.9997, 0.9997, 0.4992], [0.9997, 0.9997, 0.0008], [0.8307, 0.3347, 0.7500], [0.3347, 0.8307, 0.7500]],
  "final_energy_ev_per_cell": -92.24,
  "magnetic_moment_mub_per_cell": 6.7,
  "sg": "Amm2"
}

---

[2]
{
  "formula": "TlCu2P2O7",
  "functional": "PBE-GGA",
  "state": "relaxed",
  "lattice": [[-2.5847, 8.4265, 1.7589], [-7.9926, -1.4694, -4.7053], [-7.3366, -5.1901, 14.0831]],
  "species": ["Tl", "Tl", "Tl", "Tl", "Tl", "Tl", "Tl", "Tl", "Cu", "Cu", "Cu", "Cu", "Cu", "Cu", "Cu", "Cu", "Cu", "Cu", "Cu", "Cu", "Cu", "Cu", "Cu", "Cu", "P", "P", "P", "P", "P", "P", "P", "P", "P", "P", "P", "P", "P", "P", "P", "P", "O", "O", "O", "O", "O", "O", "O", "O", "O", "O", "O", "O", "O", "O", "O", "O", "O", "O", "O", "O", "O", "O", "O", "O", "O", "O", "O", "O", "O", "O", "O", "O", "O", "O", "O", "O", "O", "O", "O", "O", "O", "O", "O", "O", "O", "O", "O", "O", "O", "O", "O", "O", "O", "O", "O", "O"],
  "frac_coords": [[0.7079, 0.5015, 0.6675], [0.7079, 0.9985, 0.1675], [0.2079, 0.5015, 0.8325], [0.7921, 0.0015, 0.6675], [0.2921, 0.0015, 0.8325], [0.2921, 0.4985, 0.3325], [0.2079, 0.9985, 0.3325], [0.7921, 0.4985, 0.1675], [0.0465, 0.7586, 0.6824], [0.9535, 0.2586, 0.8176], [0.7218, 0.0211, 0.9332], [0.2218, 0.4789, 0.0668], [0.2782, 0.5211, 0.5668], [0.5465, 0.7586, 0.8176], [0.0465, 0.7414, 0.1824], [0.9535, 0.2414, 0.3176], [0.7782, 0.5211, 0.9332], [0.5465, 0.7414, 0.3176], [0.4535, 0.2414, 0.1824], [0.7782, 0.9789, 0.4332], [0.4535, 0.2586, 0.6824], [0.2782, 0.9789, 0.0668], [0.2218, 0.0211, 0.5668], [0.7218, 0.4789, 0.4332], [0.9253, 0.7108, 0.5177], [0.9241, 0.7148, 0.3497], [0.4241, 0.7148, 0.1503], [0.0759, 0.2148, 0.1503], [0.5747, 0.2108, 0.5177], [0.0747, 0.2108, 0.9823], [0.4253, 0.7892, 0.4823], [0.9253, 0.7892, 0.0177], [0.5747, 0.2892, 0.0177], [0.5759, 0.2148, 0.3497], [0.9241, 0.7852, 0.8497], [0.4241, 0.7852, 0.6503], [0.5759, 0.2852, 0.8497], [0.4253, 0.7108, 0.9823], [0.0747, 0.2892, 0.4823], [0.0759, 0.2852, 0.6503], [0.4552, 0.1799, 0.5812], [0.3788, 0.6275, 0.6534], [0.6273, 0.3664, 0.5205], [0.1212, 0.3725, 0.1534], [0.0123, 0.6875, 0.4332], [0.5123, 0.6875, 0.0668], [0.0448, 0.8201, 0.0812], [0.7988, 0.6009, 0.5197], [0.7988, 0.8991, 0.0197], [0.6273, 0.1336, 0.0205], [0.9539, 0.1805, 0.2124], [0.7083, 0.3885, 0.8467], [0.8727, 0.8664, 0.5205], [0.2988, 0.6009, 0.9803], [0.5461, 0.6805, 0.2124], [0.4552, 0.3201, 0.0812], [0.9539, 0.3195, 0.7124], [0.2012, 0.1009, 0.9803], [0.2012, 0.3991, 0.4803], [0.7083, 0.1115, 0.3467], [0.4539, 0.1805, 0.2876], [0.9877, 0.3125, 0.5668], [0.6212, 0.3725, 0.3466], [0.6212, 0.1275, 0.8466], [0.5448, 0.8201, 0.4188], [0.3727, 0.8664, 0.9795], [0.1273, 0.1336, 0.4795], [0.2083, 0.3885, 0.6533], [0.2917, 0.6115, 0.1533], [0.7012, 0.3991, 0.0197], [0.2917, 0.8885, 0.6533], [0.9552, 0.1799, 0.9188], [0.0461, 0.6805, 0.2876], [0.4539, 0.3195, 0.7876], [0.7917, 0.6115, 0.3467], [0.0461, 0.8195, 0.7876], [0.8727, 0.6336, 0.0205], [0.5448, 0.6799, 0.9188], [0.8788, 0.6275, 0.8466], [0.4877, 0.1875, 0.4332], [0.7012, 0.1009, 0.5197], [0.9877, 0.1875, 0.0668], [0.5461, 0.8195, 0.7124], [0.1273, 0.3664, 0.9795], [0.2083, 0.1115, 0.1533], [0.3788, 0.8725, 0.1534], [0.9552, 0.3201, 0.4188], [0.1212, 0.1275, 0.6534], [0.5123, 0.8125, 0.5668], [0.2988, 0.8991, 0.4803], [0.0123, 0.8125, 0.9332], [0.7917, 0.8885, 0.8467], [0.8788, 0.8725, 0.3466], [0.4877, 0.3125, 0.9332], [0.0448, 0.6799, 0.5812], [0.3727, 0.6336, 0.4795]],
  "final_energy_ev_per_cell": -597.68,
  "magnetic_moment_mub_per_cell": 0.0,
  "sg": "Pbca"
}

---

[3]
{
  "formula": "Mn3V2Si3",
  "functional": "PBE-GGA",
  "state": "relaxed",
  "lattice": [[3.5338, -6.1207, 0.0000], [3.5338, 6.1207, 0.0000], [0.0000, 0.0000, 4.7958]],
  "species": ["Mn", "Mn", "Mn", "Mn", "Mn", "Mn", "V", "V", "V", "V", "Si", "Si", "Si", "Si", "Si", "Si"],
  "frac_coords": [[0.7390, 0.7390, 0.2500], [0.2610, 0.0000, 0.2500], [0.0000, 0.2610, 0.2500], [0.2610, 0.2610, 0.7500], [0.7390, 0.0000, 0.7500], [0.0000, 0.7390, 0.7500], [0.6667, 0.3333, 0.5000], [0.3333, 0.6667, 0.5000], [0.3333, 0.6667, 0.0000], [0.6667, 0.3333, 0.0000], [0.3807, 0.3807, 0.2500], [0.6193, 0.0000, 0.2500], [0.0000, 0.6193, 0.2500], [0.6193, 0.6193, 0.7500], [0.3807, 0.0000, 0.7500], [0.0000, 0.3807, 0.7500]],
  "final_energy_ev_per_cell": -129.65,
  "magnetic_moment_mub_per_cell": 12.9,
  "sg": "P6_3/mcm"
}

---

[4]
{
  "formula": "YFe2B2",
  "functional": "PBE-GGA",
  "state": "relaxed",
  "lattice": [[-0.5309, 3.5739, 0.2841], [-3.3587, -0.5962, 1.2244], [3.5737, -1.5979, 3.6612]],
  "species": ["Y", "Fe", "Fe", "B", "B"],
  "frac_coords": [[0.0000, 0.0000, 0.0000], [0.2500, 0.7500, 0.5000], [0.7500, 0.2500, 0.5000], [0.6613, 0.6613, 0.3226], [0.3387, 0.3387, 0.6774]],
  "final_energy_ev_per_cell": -38.95,
  "sg": "I4/mmm"
}

---

[5]
{
  "formula": "ScTaN",
  "functional": "PBE-GGA",
  "state": "relaxed",
  "lattice": [[1.5425, -2.6717, 0.0000], [1.5425, 2.6717, 0.0000], [0.0000, 0.0000, 10.3401]],
  "species": ["Sc", "Sc", "Ta", "Ta", "N", "N"],
  "frac_coords": [[0.0000, 0.0000, 0.5000], [0.0000, 0.0000, 0.0000], [0.6667, 0.3333, 0.7544], [0.3333, 0.6667, 0.2456], [0.6667, 0.3333, 0.3702], [0.3333, 0.6667, 0.6298]],
  "final_energy_ev_per_cell": -59.20,
  "magnetic_moment_mub_per_cell": 0.0,
  "sg": "P-3m1"
}

---

[6]
{
  "formula": "NdP2O10",
  "functional": "PBE-GGA",
  "state": "relaxed",
  "lattice": [[6.8825, 0.0000, 0.0000], [0.0000, 10.8491, 0.0000], [0.0000, 0.0000, 12.8667]],
  "species": ["Nd", "Nd", "Nd", "Nd", "P", "P", "P", "P", "P", "P", "P", "P", "O", "O", "O", "O", "O", "O", "O", "O", "O", "O", "O", "O", "O", "O", "O", "O", "O", "O", "O", "O", "O", "O", "O", "O", "O", "O", "O", "O", "O", "O", "O", "O", "O", "O", "O", "O", "O", "O", "O", "O"],
  "frac_coords": [[0.2500, 0.2353, 0.2500], [0.7500, 0.7647, 0.7500], [0.2500, 0.2647, 0.7500], [0.7500, 0.7353, 0.2500], [0.0311, 0.4963, 0.0911], [0.9689, 0.5037, 0.9089], [0.0311, 0.0037, 0.9089], [0.4689, 0.0037, 0.5911], [0.9689, 0.9963, 0.0911], [0.5311, 0.9963, 0.4089], [0.4689, 0.4963, 0.4089], [0.5311, 0.5037, 0.5911], [0.1382, 0.5567, 0.9885], [0.8618, 0.4433, 0.0115], [0.1382, 0.9433, 0.0115], [0.3618, 0.9433, 0.4885], [0.8618, 0.0567, 0.9885], [0.6382, 0.0567, 0.5115], [0.3618, 0.5567, 0.5115], [0.6382, 0.4433, 0.4885], [0.0474, 0.0921, 0.1639], [0.9526, 0.9079, 0.8361], [0.0474, 0.4079, 0.8361], [0.4526, 0.4079, 0.6639], [0.9526, 0.5921, 0.1639], [0.5474, 0.5921, 0.3361], [0.4526, 0.0921, 0.3361], [0.5474, 0.9079, 0.6639], [0.5700, 0.2771, 0.1583], [0.4300, 0.7229, 0.8417], [0.5700, 0.2229, 0.8417], [0.9300, 0.2229, 0.6583], [0.4300, 0.7771, 0.1583], [0.0700, 0.7771, 0.3417], [0.9300, 0.2771, 0.3417], [0.0700, 0.7229, 0.6583], [0.4687, 0.2145, 0.0925], [0.5313, 0.7855, 0.9075], [0.4687, 0.2855, 0.9075], [0.0313, 0.2855, 0.5925], [0.5313, 0.7145, 0.0925], [0.9687, 0.7145, 0.4075], [0.0313, 0.2145, 0.4075], [0.9687, 0.7855, 0.5925], [0.1490, 0.3948, 0.1380], [0.8510, 0.6052, 0.8620], [0.1490, 0.1052, 0.8620], [0.3510, 0.1052, 0.6380], [0.8510, 0.8948, 0.1380], [0.6490, 0.8948, 0.3620], [0.3510, 0.3948, 0.3620], [0.6490, 0.6052, 0.6380]],
  "final_energy_ev_per_cell": -351.92,
  "magnetic_moment_mub_per_cell": 12.0,
  "sg": "Pnna"
}

---

[7]
{
  "formula": "CeP2Pd2",
  "functional": "PBE-GGA",
  "state": "relaxed",
  "lattice": [[0.5853, -5.7490, -0.7155], [0.8438, -3.4288, 4.6301], [-3.5988, 4.2601, -1.6751]],
  "species": ["Ce", "P", "P", "Pd", "Pd"],
  "frac_coords": [[0.0000, 0.0000, 0.0000], [0.3889, 0.3889, 0.0000], [0.6111, 0.6111, 0.0000], [0.7500, 0.2500, 0.5000], [0.2500, 0.7500, 0.5000]],
  "final_energy_ev_per_cell": -31.92,
  "sg": "I4/mmm"
}

---

[8]
{
  "formula": "Tb6Nb4Al43",
  "functional": "PBE-GGA",
  "state": "relaxed",
  "lattice": [[5.5796, -9.6642, 0.0000], [5.5796, 9.6642, 0.0000], [0.0000, 0.0000, 17.7905]],
  "species": ["Tb", "Tb", "Tb", "Tb", "Tb", "Tb", "Tb", "Tb", "Tb", "Tb", "Tb", "Tb", "Nb", "Nb", "Nb", "Nb", "Nb", "Nb", "Nb", "Nb", "Al", "Al", "Al", "Al", "Al", "Al", "Al", "Al", "Al", "Al", "Al", "Al", "Al", "Al", "Al", "Al", "Al", "Al", "Al", "Al", "Al", "Al", "Al", "Al", "Al", "Al", "Al", "Al", "Al", "Al", "Al", "Al", "Al", "Al", "Al", "Al", "Al", "Al", "Al", "Al", "Al", "Al", "Al", "Al", "Al", "Al", "Al", "Al", "Al", "Al", "Al", "Al", "Al", "Al", "Al", "Al", "Al", "Al", "Al", "Al", "Al", "Al", "Al", "Al", "Al", "Al", "Al", "Al", "Al", "Al", "Al", "Al", "Al", "Al", "Al", "Al", "Al", "Al", "Al", "Al", "Al", "Al", "Al", "Al", "Al", "Al"],
  "frac_coords": [[0.5294, 0.0000, 0.5958], [0.4706, 0.0000, 0.4042], [0.0000, 0.5294, 0.5958], [0.4706, 0.0000, 0.0958], [0.0000, 0.5294, 0.9042], [0.0000, 0.4706, 0.4042], [0.5294, 0.0000, 0.9042], [0.0000, 0.4706, 0.0958], [0.4706, 0.4706, 0.5958], [0.5294, 0.5294, 0.4042], [0.5294, 0.5294, 0.0958], [0.4706, 0.4706, 0.9042], [0.0000, 0.0000, 0.5000], [0.0000, 0.0000, 0.0000], [0.7272, 0.0000, 0.7500], [0.2728, 0.0000, 0.2500], [0.0000, 0.7272, 0.7500], [0.0000, 0.2728, 0.2500], [0.2728, 0.2728, 0.7500], [0.7272, 0.7272, 0.2500], [0.1488, 0.5951, 0.7500], [0.8512, 0.4049, 0.2500], [0.4049, 0.5537, 0.7500], [0.5951, 0.1488, 0.7500], [0.5951, 0.4463, 0.2500], [0.4049, 0.8512, 0.2500], [0.4463, 0.8512, 0.7500], [0.5537, 0.4049, 0.7500], [0.5537, 0.1488, 0.2500], [0.4463, 0.5951, 0.2500], [0.8512, 0.4463, 0.7500], [0.1488, 0.5537, 0.2500], [0.1591, 0.0000, 0.1152], [0.8409, 0.0000, 0.8848], [0.0000, 0.1591, 0.1152], [0.8409, 0.0000, 0.6152], [0.0000, 0.1591, 0.3848], [0.0000, 0.8409, 0.8848], [0.1591, 0.0000, 0.3848], [0.0000, 0.8409, 0.6152], [0.8409, 0.8409, 0.1152], [0.1591, 0.1591, 0.8848], [0.1591, 0.1591, 0.6152], [0.8409, 0.8409, 0.3848], [0.2472, 0.4944, 0.5000], [0.7528, 0.5056, 0.5000], [0.5056, 0.7528, 0.5000], [0.7528, 0.5056, 0.0000], [0.4944, 0.2472, 0.0000], [0.4944, 0.2472, 0.5000], [0.2472, 0.4944, 0.0000], [0.5056, 0.7528, 0.0000], [0.2472, 0.7528, 0.5000], [0.7528, 0.2472, 0.5000], [0.7528, 0.2472, 0.0000], [0.2472, 0.7528, 0.0000], [0.1470, 0.0000, 0.7500], [0.8530, 0.0000, 0.2500], [0.0000, 0.1470, 0.7500], [0.0000, 0.8530, 0.2500], [0.8530, 0.8530, 0.7500], [0.1470, 0.1470, 0.2500], [0.3333, 0.6667, 0.6266], [0.6667, 0.3333, 0.3734], [0.6667, 0.3333, 0.1266], [0.6667, 0.3333, 0.8734], [0.3333, 0.6667, 0.8734], [0.3333, 0.6667, 0.1266], [0.3333, 0.6667, 0.3734], [0.6667, 0.3333, 0.6266], [0.2560, 0.0000, 0.5302], [0.7440, 0.0000, 0.4698], [0.0000, 0.2560, 0.5302], [0.7440, 0.0000, 0.0302], [0.0000, 0.2560, 0.9698], [0.0000, 0.7440, 0.4698], [0.2560, 0.0000, 0.9698], [0.0000, 0.7440, 0.0302], [0.7440, 0.7440, 0.5302], [0.2560, 0.2560, 0.4698], [0.2560, 0.2560, 0.0302], [0.7440, 0.7440, 0.9698], [0.1572, 0.3946, 0.6638], [0.8428, 0.6054, 0.3362], [0.6054, 0.7626, 0.6638], [0.8428, 0.6054, 0.1638], [0.3946, 0.1572, 0.8362], [0.3946, 0.2374, 0.3362], [0.1572, 0.3946, 0.8362], [0.6054, 0.8428, 0.1638], [0.2374, 0.8428, 0.6638], [0.3946, 0.2374, 0.1638], [0.7626, 0.6054, 0.8362], [0.7626, 0.1572, 0.3362], [0.6054, 0.7626, 0.8362], [0.2374, 0.3946, 0.1638], [0.6054, 0.8428, 0.3362], [0.3946, 0.1572, 0.6638], [0.7626, 0.1572, 0.1638], [0.2374, 0.3946, 0.3362], [0.2374, 0.8428, 0.8362], [0.7626, 0.6054, 0.6638], [0.8428, 0.2374, 0.8362], [0.1572, 0.7626, 0.1638], [0.1572, 0.7626, 0.3362], [0.8428, 0.2374, 0.6638]],
  "final_energy_ev_per_cell": -494.15,
  "sg": "P6_3/mcm"
}

---

[9]
{
  "formula": "BaTiSi3O9",
  "functional": "PBE-GGA",
  "state": "relaxed",
  "lattice": [[5.8152, -10.0721, 0.0000], [5.8152, 10.0721, 0.0000], [0.0000, 0.0000, 9.8904]],
  "species": ["Ba", "Ba", "Ba", "Ba", "Ba", "Ba", "Ti", "Ti", "Ti", "Ti", "Ti", "Ti", "Si", "Si", "Si", "Si", "Si", "Si", "Si", "Si", "Si", "Si", "Si", "Si", "Si", "Si", "Si", "Si", "Si", "Si", "O", "O", "O", "O", "O", "O", "O", "O", "O", "O", "O", "O", "O", "O", "O", "O", "O", "O", "O", "O", "O", "O", "O", "O", "O", "O", "O", "O", "O", "O", "O", "O", "O", "O", "O", "O", "O", "O", "O", "O", "O", "O", "O", "O", "O", "O", "O", "O", "O", "O", "O", "O", "O", "O"],
  "frac_coords": [[0.0000, 0.0000, 0.4998], [0.0000, 0.0000, 0.9998], [0.3333, 0.6667, 0.5266], [0.6667, 0.3333, 0.0266], [0.6667, 0.3333, 0.5258], [0.3333, 0.6667, 0.0258], [0.6670, 0.6666, 0.5172], [0.3334, 0.0004, 0.5172], [0.9996, 0.3330, 0.5172], [0.6666, 0.6670, 0.0172], [0.0004, 0.3334, 0.0172], [0.3330, 0.9996, 0.0172], [0.2835, 0.1634, 0.7622], [0.8366, 0.1201, 0.7622], [0.8799, 0.7165, 0.7622], [0.1634, 0.2835, 0.2622], [0.1201, 0.8366, 0.2622], [0.7165, 0.8799, 0.2622], [0.5028, 0.4525, 0.7694], [0.5475, 0.0502, 0.7694], [0.9498, 0.4972, 0.7694], [0.4525, 0.5028, 0.2694], [0.0502, 0.5475, 0.2694], [0.4972, 0.9498, 0.2694], [0.8314, 0.6175, 0.2695], [0.3825, 0.2139, 0.2695], [0.7861, 0.1686, 0.2695], [0.6175, 0.8314, 0.7695], [0.2139, 0.3825, 0.7695], [0.1686, 0.7861, 0.7695], [0.9565, 0.7722, 0.2744], [0.2278, 0.1843, 0.2744], [0.8157, 0.0435, 0.2744], [0.7722, 0.9565, 0.7744], [0.1843, 0.2278, 0.7744], [0.0435, 0.8157, 0.7744], [0.3779, 0.4823, 0.7661], [0.5177, 0.8956, 0.7661], [0.1044, 0.6221, 0.7661], [0.4823, 0.3779, 0.2661], [0.8956, 0.5177, 0.2661], [0.6221, 0.1044, 0.2661], [0.4382, 0.2889, 0.7604], [0.7111, 0.1493, 0.7604], [0.8507, 0.5618, 0.7604], [0.2889, 0.4382, 0.2604], [0.1493, 0.7111, 0.2604], [0.5618, 0.8507, 0.2604], [0.5973, 0.5113, 0.6370], [0.4887, 0.0860, 0.6370], [0.9140, 0.4027, 0.6370], [0.5113, 0.5973, 0.1370], [0.0860, 0.4887, 0.1370], [0.4027, 0.9140, 0.1370], [0.5863, 0.7460, 0.6307], [0.2540, 0.8404, 0.6307], [0.1596, 0.4137, 0.6307], [0.7460, 0.5863, 0.1307], [0.8404, 0.2540, 0.1307], [0.4137, 0.1596, 0.1307], [0.2433, 0.0769, 0.6237], [0.9231, 0.1665, 0.6237], [0.8335, 0.7567, 0.6237], [0.0769, 0.2433, 0.1237], [0.1665, 0.9231, 0.1237], [0.7567, 0.8335, 0.1237], [0.1803, 0.9278, 0.3963], [0.0722, 0.2526, 0.3963], [0.7474, 0.8197, 0.3963], [0.9278, 0.1803, 0.8963], [0.2526, 0.0722, 0.8963], [0.8197, 0.7474, 0.8963], [0.5002, 0.5855, 0.4102], [0.4145, 0.9147, 0.4102], [0.0853, 0.4998, 0.4102], [0.5855, 0.5002, 0.9102], [0.9147, 0.4145, 0.9102], [0.4998, 0.0853, 0.9102], [0.7398, 0.5773, 0.4047], [0.4227, 0.1625, 0.4047], [0.8375, 0.2602, 0.4047], [0.5773, 0.7398, 0.9047], [0.1625, 0.4227, 0.9047], [0.2602, 0.8375, 0.9047]],
  "final_energy_ev_per_cell": -670.93,
  "magnetic_moment_mub_per_cell": 0.0,
  "sg": "P31c"
}